Compound: Ho2CuTe2S2O14
Source: the Materials Project
Functional: GGA-PBE
Structure: optimized geometry Values from VASP.

## Properties
VASP energy	-6.450	eV per atom
ΔE_f	-2.2840	eV/atom
crystal system	triclinic
SG	P-1 (2)

Quantum ESPRESSO input file:
```
&SYSTEM
  ibrav = 0, nat = 21, ntyp = 5
/
ATOMIC_SPECIES
Ho 164.93 Ho.upf
Cu 63.55 Cu.upf
Te 127.60 Te.upf
S 32.06 S.upf
O 16.00 O.upf
ATOMIC_POSITIONS crystal
Ho 0.074 0.252 0.018
Ho 0.926 0.748 0.982
Cu 0.000 0.000 0.500
Te 0.489 0.728 0.655
Te 0.511 0.272 0.345
S 0.252 0.748 0.251
S 0.748 0.252 0.749
O 0.136 0.587 0.242
O 0.141 0.748 0.436
O 0.176 0.923 0.092
O 0.249 0.561 0.892
O 0.249 0.928 0.659
O 0.271 0.188 0.254
O 0.452 0.264 0.786
O 0.548 0.736 0.214
O 0.729 0.812 0.746
O 0.751 0.072 0.341
O 0.751 0.439 0.108
O 0.824 0.077 0.908
O 0.859 0.252 0.564
O 0.864 0.413 0.758
CELL_PARAMETERS angstrom
5.200 0.000 0.000
0.650 7.912 0.000
2.235 3.633 6.994
```

Compound: GdInPt
Source: the Materials Project
Functional: GGA-PBE
Structure: optimized geometry Values from VASP.

## Properties
VASP energy	-8.351	eV per atom
ΔE_f	-0.7181	eV/atom
crystal system	hexagonal
SG	P-62m (189)

Quantum ESPRESSO input file:
```
&SYSTEM
  ibrav = 0, nat = 9, ntyp = 3
/
ATOMIC_SPECIES
Gd 157.25 Gd.upf
In 114.82 In.upf
Pt 195.08 Pt.upf
ATOMIC_POSITIONS crystal
Gd 0.000 0.408 0.000
Gd 0.408 0.000 0.000
Gd 0.592 0.592 0.000
In 0.000 0.750 0.500
In 0.250 0.250 0.500
In 0.750 0.000 0.500
Pt 0.000 0.000 0.000
Pt 0.333 0.667 0.500
Pt 0.667 0.333 0.500
CELL_PARAMETERS angstrom
8.238 0.000 0.000
-4.119 7.134 0.000
0.000 0.000 4.308
```

Compound: LiAgF4
Source: the Materials Project
Functional: GGA-PBE
Structure: optimized geometry Values from VASP.

## Properties
VASP energy	-3.708	eV per atom
ΔE_f	-1.9499	eV/atom
crystal system	tetragonal
SG	I4/mcm (140)
offset from the most stable computed form	36	meV/atom

Quantum ESPRESSO input file:
```
&SYSTEM
  ibrav = 0, nat = 12, ntyp = 3
/
ATOMIC_SPECIES
Li 6.94 Li.upf
Ag 107.87 Ag.upf
F 19.00 F.upf
ATOMIC_POSITIONS crystal
Li 0.250 0.250 0.000
Li 0.750 0.750 0.000
Ag 0.000 0.500 0.500
Ag 0.500 0.000 0.500
F 0.051 0.551 0.870
F 0.181 0.051 0.500
F 0.319 0.819 0.870
F 0.449 0.319 0.500
F 0.551 0.681 0.500
F 0.681 0.181 0.130
F 0.819 0.949 0.500
F 0.949 0.449 0.130
CELL_PARAMETERS angstrom
-2.711 2.711 5.118
2.711 -2.711 5.118
2.711 2.711 -5.118
```

Compound: SrMg14Zr
Source: the Materials Project
Functional: GGA-PBE
Structure: optimized geometry Values from VASP.

## Properties
VASP energy	-1.964	eV per atom
ΔE_f	0.0761	eV/atom
crystal system	orthorhombic
SG	Amm2 (38)
offset from the most stable computed form	6	meV/atom

Quantum ESPRESSO input file:
```
&SYSTEM
  ibrav = 0, nat = 16, ntyp = 3
/
ATOMIC_SPECIES
Sr 87.62 Sr.upf
Mg 24.30 Mg.upf
Zr 91.22 Zr.upf
ATOMIC_POSITIONS crystal
Sr 0.000 0.000 0.000
Mg 0.000 0.500 0.999
Mg 0.000 0.999 0.500
Mg 0.244 0.662 0.662
Mg 0.259 0.174 0.654
Mg 0.259 0.654 0.174
Mg 0.262 0.172 0.172
Mg 0.500 0.499 0.499
Mg 0.500 0.502 0.993
Mg 0.500 0.993 0.502
Mg 0.500 0.998 0.998
Mg 0.738 0.172 0.172
Mg 0.741 0.174 0.654
Mg 0.741 0.654 0.174
Mg 0.756 0.662 0.662
Zr 0.000 0.485 0.485
CELL_PARAMETERS angstrom
10.424 0.000 0.000
0.000 3.307 5.684
0.000 -3.307 5.684
```

Compound: CaH16O10
Source: the Materials Project
Functional: GGA-PBE
Structure: optimized geometry Values from VASP.

## Properties
VASP energy	-5.057	eV per atom
ΔE_f	-1.3942	eV/atom
crystal system	monoclinic
SG	Cc (9)
offset from the most stable computed form	1	meV/atom

Quantum ESPRESSO input file:
```
&SYSTEM
  ibrav = 0, nat = 54, ntyp = 3
/
ATOMIC_SPECIES
Ca 40.08 Ca.upf
H 1.01 H.upf
O 16.00 O.upf
ATOMIC_POSITIONS crystal
Ca 0.004 0.996 0.500
Ca 0.996 0.004 0.000
H 0.032 0.555 0.382
H 0.035 0.442 0.620
H 0.134 0.303 0.791
H 0.134 0.698 0.212
H 0.265 0.376 0.908
H 0.267 0.623 0.095
H 0.276 0.619 0.397
H 0.281 0.382 0.606
H 0.301 0.869 0.787
H 0.303 0.134 0.291
H 0.376 0.265 0.408
H 0.381 0.723 0.605
H 0.382 0.281 0.106
H 0.383 0.723 0.898
H 0.442 0.035 0.120
H 0.446 0.966 0.620
H 0.555 0.032 0.882
H 0.559 0.966 0.383
H 0.618 0.721 0.396
H 0.619 0.276 0.897
H 0.622 0.737 0.094
H 0.623 0.267 0.595
H 0.697 0.867 0.211
H 0.698 0.134 0.712
H 0.721 0.618 0.896
H 0.723 0.381 0.105
H 0.723 0.383 0.398
H 0.737 0.622 0.594
H 0.867 0.697 0.711
H 0.869 0.301 0.287
H 0.966 0.446 0.120
H 0.966 0.559 0.883
O 0.120 0.319 0.882
O 0.123 0.684 0.120
O 0.130 0.681 0.373
O 0.136 0.317 0.629
O 0.317 0.136 0.129
O 0.319 0.120 0.382
O 0.319 0.869 0.879
O 0.319 0.870 0.627
O 0.497 0.499 0.431
O 0.499 0.497 0.931
O 0.500 0.504 0.068
O 0.504 0.500 0.568
O 0.679 0.881 0.120
O 0.681 0.130 0.873
O 0.684 0.123 0.620
O 0.684 0.865 0.374
O 0.865 0.684 0.874
O 0.869 0.319 0.379
O 0.870 0.319 0.127
O 0.881 0.679 0.620
CELL_PARAMETERS angstrom
4.418 -4.393 0.000
4.418 4.393 0.000
-0.024 0.000 10.892
```

Compound: MgScMnS4
Source: the Materials Project
Functional: GGA-PBE
Structure: optimized geometry Values from VASP.

## Properties
VASP energy	-6.050	eV per atom
ΔE_f	-1.5316	eV/atom
crystal system	orthorhombic
SG	Imma (74)

Quantum ESPRESSO input file:
```
&SYSTEM
  ibrav = 0, nat = 14, ntyp = 4
/
ATOMIC_SPECIES
Mg 24.30 Mg.upf
Sc 44.96 Sc.upf
Mn 54.94 Mn.upf
S 32.06 S.upf
ATOMIC_POSITIONS crystal
Mg 0.375 0.125 0.250
Mg 0.625 0.875 0.750
Sc 0.000 0.500 0.500
Sc 0.500 0.500 0.000
Mn 0.000 0.000 0.500
Mn 0.000 0.500 0.000
S 0.221 0.748 0.473
S 0.225 0.252 0.973
S 0.234 0.248 0.514
S 0.234 0.721 0.986
S 0.766 0.279 0.014
S 0.766 0.752 0.486
S 0.775 0.748 0.027
S 0.779 0.252 0.527
CELL_PARAMETERS angstrom
-3.733 3.756 5.181
3.733 -3.756 5.181
3.733 3.756 -5.181
```

Compound: NdZr2F11
Source: the Materials Project
Functional: GGA-PBE
Structure: optimized geometry Values from VASP.

## Properties
VASP energy	-6.852	eV per atom
ΔE_f	-4.1490	eV/atom
crystal system	orthorhombic
SG	Ibam (72)

Quantum ESPRESSO input file:
```
&SYSTEM
  ibrav = 0, nat = 28, ntyp = 3
/
ATOMIC_SPECIES
Nd 144.24 Nd.upf
Zr 91.22 Zr.upf
F 19.00 F.upf
ATOMIC_POSITIONS crystal
Nd 0.250 0.250 0.000
Nd 0.750 0.750 0.000
Zr 0.181 0.635 0.816
Zr 0.319 0.135 0.454
Zr 0.681 0.865 0.546
Zr 0.819 0.365 0.184
F 0.000 0.500 0.500
F 0.047 0.964 0.285
F 0.054 0.365 0.158
F 0.179 0.464 0.918
F 0.206 0.896 0.842
F 0.220 0.370 0.590
F 0.280 0.870 0.151
F 0.294 0.135 0.689
F 0.321 0.238 0.285
F 0.446 0.604 0.311
F 0.453 0.738 0.918
F 0.500 0.000 0.500
F 0.547 0.262 0.082
F 0.554 0.396 0.689
F 0.679 0.762 0.715
F 0.706 0.865 0.311
F 0.720 0.130 0.849
F 0.780 0.630 0.410
F 0.794 0.104 0.158
F 0.821 0.536 0.082
F 0.946 0.635 0.842
F 0.953 0.036 0.715
CELL_PARAMETERS angstrom
-3.948 5.080 5.538
3.948 -5.080 5.538
3.948 5.080 -5.538
```

Compound: C4SeBr4
Source: the Materials Project
Functional: GGA-PBE
Structure: optimized geometry Values from VASP.

## Properties
VASP energy	-4.901	eV per atom
ΔE_f	0.0794	eV/atom
crystal system	monoclinic
SG	P2_1/c (14)

Quantum ESPRESSO input file:
```
&SYSTEM
  ibrav = 0, nat = 36, ntyp = 3
/
ATOMIC_SPECIES
C 12.01 C.upf
Se 78.96 Se.upf
Br 79.90 Br.upf
ATOMIC_POSITIONS crystal
C 0.147 0.081 0.109
C 0.147 0.419 0.609
C 0.217 0.541 0.662
C 0.217 0.959 0.162
C 0.296 0.144 0.042
C 0.296 0.356 0.542
C 0.300 0.507 0.625
C 0.300 0.993 0.125
C 0.700 0.007 0.875
C 0.700 0.493 0.375
C 0.704 0.644 0.458
C 0.704 0.856 0.958
C 0.783 0.041 0.838
C 0.783 0.459 0.338
C 0.853 0.581 0.391
C 0.853 0.919 0.891
Se 0.180 0.236 0.500
Se 0.180 0.264 0.000
Se 0.820 0.736 0.000
Se 0.820 0.764 0.500
Br 0.031 0.106 0.137
Br 0.031 0.394 0.637
Br 0.207 0.743 0.776
Br 0.207 0.757 0.276
Br 0.388 0.235 0.971
Br 0.388 0.265 0.471
Br 0.406 0.659 0.687
Br 0.406 0.841 0.187
Br 0.594 0.159 0.813
Br 0.594 0.341 0.313
Br 0.612 0.735 0.529
Br 0.612 0.765 0.029
Br 0.793 0.243 0.724
Br 0.793 0.257 0.224
Br 0.969 0.606 0.363
Br 0.969 0.894 0.863
CELL_PARAMETERS angstrom
15.344 0.000 0.000
0.000 4.501 0.000
-1.570 0.000 14.296
```